The following is a PBE calculation of a relaxed LaGaBi2 crystal, from the Materials Project database.

The symmetry is P6/mmm (191). Its formation enthalpy at 0 K is -0.575 eV/atom. For the total DFT energy (no corrections), the calculation gives -4.511 eV/atom. The volume is 726.6 Å³ per cell.

a b c (Å): 13.757 13.757 4.433
angles (deg): 90.00 90.00 120.00
Fractional coordinates of all 24 atoms:
La1 0.774 0.226 0.500
La2 0.774 0.548 0.500
La3 0.452 0.226 0.500
La4 0.226 0.774 0.500
La5 0.548 0.774 0.500
La6 0.226 0.452 0.500
Ga1 0.819 0.819 0.500
Ga2 0.181 0.000 0.500
Ga3 0.000 0.181 0.500
Ga4 0.181 0.181 0.500
Ga5 0.819 0.000 0.500
Ga6 0.000 0.819 0.500
Bi1 0.675 0.675 0.000
Bi2 0.325 0.000 0.000
Bi3 0.000 0.325 0.000
Bi4 0.325 0.325 0.000
Bi5 0.675 0.000 0.000
Bi6 0.000 0.675 0.000
Bi7 0.500 0.500 0.500
Bi8 0.500 0.000 0.500
Bi9 0.000 0.500 0.500
Bi10 0.667 0.333 0.000
Bi11 0.333 0.667 0.000
Bi12 0.000 0.000 0.000

The following is a PBE calculation of a relaxed Ti2Si2O5 crystal, from the Materials Project database.

The symmetry is P4/mmm (123). Its formation enthalpy at 0 K is -2.132 eV/atom. For the total DFT energy (no corrections), the calculation gives -7.459 eV/atom. The volume is 83.3 Å³ per cell.

a b c (Å): 3.787 3.787 5.809
angles (deg): 90.00 90.00 90.00
Fractional coordinates of all 9 atoms:
Ti1 0.000 0.000 0.000
Ti2 0.000 0.000 0.500
Si1 0.500 0.500 0.209
Si2 0.500 0.500 0.791
O1 0.500 0.000 0.228
O2 0.500 0.000 0.772
O3 0.500 0.500 0.500
O4 0.000 0.500 0.228
O5 0.000 0.500 0.772